Compound: SmEuCuS3
Source: the Materials Project database
Functional: PBE
Structure: relaxed

Properties
Space group ... Pnma (62)
Final energy ... -6.9109 eV per atom
DFT formation energy ... -1109 kJ/mol of formula units
Crystal system ... orthorhombic

a b c (Å): 10.531 3.965 12.804
angles (deg): 90.00 90.00 90.00
Sites, in units of the cell vectors:
1 Sm 0.017 0.250 0.236
2 Sm 0.483 0.750 0.736
3 Sm 0.517 0.250 0.264
4 Sm 0.983 0.750 0.764
5 Eu 0.215 0.750 0.498
6 Eu 0.285 0.250 0.998
7 Eu 0.715 0.750 0.002
8 Eu 0.785 0.250 0.502
9 Cu 0.234 0.250 0.723
10 Cu 0.266 0.750 0.223
11 Cu 0.734 0.250 0.777
12 Cu 0.766 0.750 0.277
13 S 0.052 0.250 0.616
14 S 0.102 0.750 0.100
15 S 0.240 0.750 0.829
16 S 0.260 0.250 0.329
17 S 0.398 0.250 0.600
18 S 0.448 0.750 0.116
19 S 0.552 0.250 0.884
20 S 0.602 0.750 0.400
21 S 0.740 0.750 0.671
22 S 0.760 0.250 0.171
23 S 0.898 0.250 0.900
24 S 0.948 0.750 0.384

***

Compound: EuTmCuS3
Source: the Materials Project database
Functional: PBE
Structure: relaxed

Properties
Space group ... Cmcm (63)
Final energy ... -6.8842 eV per atom
DFT formation energy ... -1117 kJ/mol of formula units
Crystal system ... orthorhombic

a b c (Å): 6.694 6.694 10.076
angles (deg): 90.00 90.00 146.28
Sites, in units of the cell vectors:
1 Eu 0.249 0.751 0.750
2 Eu 0.751 0.249 0.250
3 Tm 0.000 0.000 0.000
4 Tm 0.000 0.000 0.500
5 Cu 0.474 0.526 0.250
6 Cu 0.526 0.474 0.750
7 S 0.080 0.920 0.250
8 S 0.362 0.638 0.068
9 S 0.362 0.638 0.432
10 S 0.638 0.362 0.568
11 S 0.638 0.362 0.932
12 S 0.920 0.080 0.750

***

Compound: EuCu2Sb2
Source: the Materials Project database
Functional: PBE
Structure: relaxed

Properties
Space group ... P4/nmm (129)
Final energy ... -5.7929 eV per atom
DFT formation energy ... -254 kJ/mol of formula units
Crystal system ... tetragonal

a b c (Å): 4.528 4.528 10.891
angles (deg): 90.00 90.00 90.00
Sites, in units of the cell vectors:
1 Eu 0.250 0.250 0.239
2 Eu 0.750 0.750 0.761
3 Cu 0.250 0.250 0.638
4 Cu 0.250 0.750 0.000
5 Cu 0.750 0.250 0.000
6 Cu 0.750 0.750 0.362
7 Sb 0.250 0.250 0.870
8 Sb 0.250 0.750 0.500
9 Sb 0.750 0.250 0.500
10 Sb 0.750 0.750 0.130

***

Compound: EuCuSb
Source: the Materials Project database
Functional: PBE
Structure: relaxed

Properties
Space group ... P6_3/mmc (194)
Final energy ... -6.8808 eV per atom
DFT formation energy ... -227 kJ/mol of formula units
Crystal system ... hexagonal

a b c (Å): 4.528 4.528 8.614
angles (deg): 90.00 90.00 120.00
Sites, in units of the cell vectors:
1 Eu 0.000 0.000 0.000
2 Eu 0.000 0.000 0.500
3 Cu 0.333 0.667 0.250
4 Cu 0.667 0.333 0.750
5 Sb 0.333 0.667 0.750
6 Sb 0.667 0.333 0.250

***

Compound: EuCuSi3
Source: the Materials Project database
Functional: PBE
Structure: relaxed

Properties
Space group ... I-4m2 (119)
Final energy ... -6.3948 eV per atom
DFT formation energy ... -109 kJ/mol of formula units
Crystal system ... tetragonal

a b c (Å): 5.597 5.597 5.597
angles (deg): 134.69 134.69 66.02
Sites, in units of the cell vectors:
1 Eu 0.000 0.000 0.000
2 Cu 0.250 0.750 0.500
3 Si 0.373 0.373 0.000
4 Si 0.627 0.627 0.000
5 Si 0.750 0.250 0.500

***

Compound: EuCu2Si2
Source: the Materials Project database
Functional: PBE
Structure: relaxed

Properties
Space group ... I4/mmm (139)
Final energy ... -6.3258 eV per atom
DFT formation energy ... -210 kJ/mol of formula units
Crystal system ... tetragonal

a b c (Å): 5.752 5.752 5.752
angles (deg): 138.40 138.40 60.29
Sites, in units of the cell vectors:
1 Eu 0.000 0.000 0.000
2 Cu 0.250 0.750 0.500
3 Cu 0.750 0.250 0.500
4 Si 0.380 0.380 0.000
5 Si 0.620 0.620 0.000

***

Compound: EuCu4Sn2
Source: the Materials Project database
Functional: PBE
Structure: relaxed

Properties
Space group ... I4/mcm (140)
Final energy ... -4.5101 eV per atom
DFT formation energy ... 299 kJ/mol of formula units
Crystal system ... tetragonal

a b c (Å): 8.201 8.201 8.201
angles (deg): 109.36 109.36 109.70
Sites, in units of the cell vectors:
1 Eu 0.250 0.250 0.000
2 Eu 0.750 0.750 0.000
3 Cu 0.025 0.525 0.227
4 Cu 0.202 0.975 0.500
5 Cu 0.298 0.798 0.773
6 Cu 0.475 0.702 0.500
7 Cu 0.525 0.298 0.500
8 Cu 0.702 0.202 0.227
9 Cu 0.798 0.025 0.500
10 Cu 0.975 0.475 0.773
11 Sn 0.161 0.339 0.500
12 Sn 0.339 0.839 0.177
13 Sn 0.661 0.161 0.823
14 Sn 0.839 0.661 0.500

***

Compound: EuCuSn
Source: the Materials Project database
Functional: PBE
Structure: relaxed

Properties
Space group ... C2/m (12)
Final energy ... -6.5306 eV per atom
DFT formation energy ... -118 kJ/mol of formula units
Crystal system ... monoclinic

a b c (Å): 5.969 5.969 7.561
angles (deg): 128.10 128.10 44.83
Sites, in units of the cell vectors:
1 Eu 0.046 0.046 0.306
2 Eu 0.954 0.954 0.694
3 Cu 0.346 0.346 0.296
4 Cu 0.654 0.654 0.704
5 Sn 0.328 0.328 0.893
6 Sn 0.672 0.672 0.107

***

Compound: EuCu9Sn4
Source: the Materials Project database
Functional: PBE
Structure: relaxed

Properties
Space group ... I4/mcm (140)
Final energy ... -4.6559 eV per atom
DFT formation energy ... -192 kJ/mol of formula units
Crystal system ... tetragonal

a b c (Å): 8.742 8.742 8.742
angles (deg): 120.55 120.55 89.05
Sites, in units of the cell vectors:
1 Eu 0.250 0.250 0.000
2 Eu 0.750 0.750 0.000
3 Cu 0.000 0.500 0.500
4 Cu 0.055 0.799 0.854
5 Cu 0.066 0.566 0.284
6 Cu 0.201 0.055 0.256
7 Cu 0.218 0.934 0.500
8 Cu 0.282 0.782 0.716
9 Cu 0.299 0.555 0.854
10 Cu 0.434 0.718 0.500
11 Cu 0.445 0.299 0.744
12 Cu 0.500 0.000 0.500
13 Cu 0.555 0.701 0.256
14 Cu 0.566 0.282 0.500
15 Cu 0.701 0.445 0.146
16 Cu 0.718 0.218 0.284
17 Cu 0.782 0.066 0.500
18 Cu 0.799 0.945 0.744
19 Cu 0.934 0.434 0.716
20 Cu 0.945 0.201 0.146
21 Sn 0.059 0.188 0.500
22 Sn 0.188 0.688 0.129
23 Sn 0.312 0.441 0.500
24 Sn 0.441 0.941 0.129
25 Sn 0.559 0.059 0.871
26 Sn 0.688 0.559 0.500
27 Sn 0.812 0.312 0.871
28 Sn 0.941 0.812 0.500

***

Compound: Eu2CuTe4
Source: the Materials Project database
Functional: PBE
Structure: relaxed

Properties
Space group ... P-4m2 (115)
Final energy ... -6.3254 eV per atom
DFT formation energy ... -847 kJ/mol of formula units
Crystal system ... tetragonal

a b c (Å): 4.470 4.470 10.102
angles (deg): 90.00 90.00 90.00
Sites, in units of the cell vectors:
1 Eu 0.000 0.500 0.241
2 Eu 0.500 0.000 0.759
3 Cu 0.000 0.000 0.000
4 Te 0.000 0.000 0.500
5 Te 0.000 0.500 0.859
6 Te 0.500 0.000 0.141
7 Te 0.500 0.500 0.500

***

Compound: Cu3F
Source: the Materials Project database
Functional: PBE
Structure: relaxed

Properties
Space group ... P6_3/mmc (194)
Final energy ... -3.6587 eV per atom
DFT formation energy ... -85 kJ/mol of formula units
Crystal system ... hexagonal

a b c (Å): 5.199 5.199 4.105
angles (deg): 90.00 90.00 120.00
Sites, in units of the cell vectors:
1 Cu 0.163 0.327 0.250
2 Cu 0.163 0.837 0.250
3 Cu 0.327 0.163 0.750
4 Cu 0.673 0.837 0.250
5 Cu 0.837 0.163 0.750
6 Cu 0.837 0.673 0.750
7 F 0.333 0.667 0.750
8 F 0.667 0.333 0.250

***

Compound: CuH2N2F4
Source: the Materials Project database
Functional: PBE
Structure: relaxed

Properties
Space group ... Cmce (64)
Final energy ... -3.6990 eV per atom
DFT formation energy ... 7 kJ/mol of formula units
Crystal system ... orthorhombic

a b c (Å): 7.086 7.086 5.836
angles (deg): 90.00 90.00 48.76
Sites, in units of the cell vectors:
1 Cu 0.000 0.000 0.000
2 Cu 0.500 0.500 0.500
3 H 0.230 0.230 0.500
4 H 0.270 0.270 0.000
5 H 0.730 0.730 0.000
6 H 0.770 0.770 0.500
7 N 0.147 0.147 0.500
8 N 0.353 0.353 0.000
9 N 0.647 0.647 0.000
10 N 0.853 0.853 0.500
11 F 0.141 0.141 0.000
12 F 0.217 0.783 0.783
13 F 0.283 0.717 0.283
14 F 0.359 0.359 0.500
15 F 0.641 0.641 0.500
16 F 0.717 0.283 0.717
17 F 0.783 0.217 0.217
18 F 0.859 0.859 0.000